## K2BiH5C5O10 (PBE)

Data for a relaxed structure of K2BiH5C5O10.

Calculated values
spin magnetization: 0.0 μB per formula unit
energy of formation: -1.426 eV/atom
final energy: -6.2885 eV/atom

Cell lengths 7.247, 7.247, 12.382 Å; angles 92.54, 92.54, 112.35 degrees
Positions (direct):
K 0.045 0.751 0.881
K 0.249 0.955 0.619
K 0.751 0.045 0.381
K 0.955 0.249 0.119
Bi 0.170 0.830 0.250
Bi 0.830 0.170 0.750
H 0.225 0.514 0.544
H 0.346 0.349 0.432
H 0.349 0.346 0.932
H 0.486 0.775 0.956
H 0.495 0.505 0.750
H 0.505 0.495 0.250
H 0.514 0.225 0.044
H 0.651 0.654 0.068
H 0.654 0.651 0.568
H 0.775 0.486 0.456
C 0.114 0.430 0.601
C 0.202 0.299 0.886
C 0.299 0.202 0.386
C 0.413 0.587 0.250
C 0.430 0.114 0.101
C 0.570 0.886 0.899
C 0.587 0.413 0.750
C 0.701 0.798 0.614
C 0.798 0.701 0.114
C 0.886 0.570 0.399
O 0.026 0.241 0.581
O 0.084 0.526 0.681
O 0.086 0.387 0.909
O 0.160 0.161 0.311
O 0.161 0.160 0.811
O 0.241 0.026 0.081
O 0.310 0.582 0.163
O 0.387 0.086 0.409
O 0.418 0.690 0.337
O 0.474 0.916 0.819
O 0.526 0.084 0.181
O 0.582 0.310 0.663
O 0.613 0.914 0.591
O 0.690 0.418 0.837
O 0.759 0.974 0.919
O 0.839 0.840 0.189
O 0.840 0.839 0.689
O 0.914 0.613 0.091
O 0.916 0.474 0.319
O 0.974 0.759 0.419

***

## BiH6C3S6N3 (PBE)

Data for a relaxed structure of BiH6C3S6N3.

Calculated values
spin magnetization: 0.1 μB per formula unit
energy of formation: -0.336 eV/atom
final energy: -5.4765 eV/atom

Cell lengths 6.237, 8.524, 12.934 Å; angles 102.92, 95.21, 94.20 degrees
Positions (direct):
Bi 0.039 0.142 0.187
Bi 0.961 0.858 0.813
H 0.076 0.697 0.435
H 0.093 0.369 0.847
H 0.310 0.637 0.496
H 0.336 0.462 0.919
H 0.363 0.792 0.236
H 0.462 0.251 0.663
H 0.538 0.749 0.337
H 0.637 0.208 0.764
H 0.664 0.538 0.081
H 0.690 0.363 0.504
H 0.907 0.631 0.153
H 0.924 0.303 0.565
C 0.139 0.462 0.377
C 0.151 0.323 0.996
C 0.337 0.081 0.738
C 0.663 0.919 0.262
C 0.849 0.677 0.004
C 0.861 0.538 0.623
S 0.088 0.055 0.665
S 0.091 0.798 0.018
S 0.100 0.581 0.708
S 0.312 0.318 0.382
S 0.326 0.362 0.110
S 0.397 0.978 0.835
S 0.603 0.022 0.165
S 0.674 0.638 0.890
S 0.688 0.682 0.618
S 0.900 0.419 0.292
S 0.909 0.202 0.982
S 0.912 0.945 0.335
N 0.183 0.613 0.437
N 0.198 0.387 0.915
N 0.493 0.184 0.718
N 0.507 0.816 0.282
N 0.802 0.613 0.085
N 0.817 0.387 0.563

***

## HoBi2C (PBE)

Data for a relaxed structure of HoBi2C.

Calculated values
spin magnetization: 0.0 μB per formula unit
energy of formation: 0.801 eV/atom
ΔE to the lowest computed polymorph: 0.096 eV per atom
final energy: -4.5971 eV/atom

Cell lengths 11.512, 11.512, 5.635 Å; angles 90.00, 90.00, 90.00 degrees
Positions (direct):
Ho 0.164 0.336 0.250
Ho 0.164 0.336 0.750
Ho 0.336 0.836 0.250
Ho 0.336 0.836 0.750
Ho 0.664 0.164 0.250
Ho 0.664 0.164 0.750
Ho 0.836 0.664 0.250
Ho 0.836 0.664 0.750
Bi 0.064 0.122 0.000
Bi 0.108 0.609 0.000
Bi 0.109 0.608 0.500
Bi 0.122 0.936 0.500
Bi 0.378 0.436 0.500
Bi 0.391 0.108 0.500
Bi 0.392 0.109 0.000
Bi 0.436 0.622 0.000
Bi 0.564 0.378 0.000
Bi 0.608 0.891 0.000
Bi 0.609 0.892 0.500
Bi 0.622 0.564 0.500
Bi 0.878 0.064 0.500
Bi 0.891 0.392 0.500
Bi 0.892 0.391 0.000
Bi 0.936 0.878 0.000
C 0.075 0.146 0.500
C 0.146 0.925 0.000
C 0.354 0.425 0.000
C 0.425 0.646 0.500
C 0.575 0.354 0.500
C 0.646 0.575 0.000
C 0.854 0.075 0.000
C 0.925 0.854 0.500

***

## HoBi2C (PBE)

Data for a relaxed structure of HoBi2C.

Calculated values
spin magnetization: 0.0 μB per formula unit
energy of formation: 0.704 eV/atom
ΔE to the lowest computed polymorph: 0.000 eV per atom
final energy: -4.6933 eV/atom

Cell lengths 10.729, 10.729, 7.145 Å; angles 90.00, 90.00, 90.00 degrees
Positions (direct):
Ho 0.245 0.255 0.250
Ho 0.245 0.255 0.750
Ho 0.255 0.755 0.250
Ho 0.255 0.755 0.750
Ho 0.745 0.245 0.250
Ho 0.745 0.245 0.750
Ho 0.755 0.745 0.250
Ho 0.755 0.745 0.750
Bi 0.003 0.829 0.000
Bi 0.007 0.657 0.500
Bi 0.157 0.507 0.000
Bi 0.171 0.003 0.500
Bi 0.329 0.503 0.500
Bi 0.343 0.007 0.000
Bi 0.493 0.157 0.500
Bi 0.497 0.329 0.000
Bi 0.503 0.671 0.000
Bi 0.507 0.843 0.500
Bi 0.657 0.993 0.000
Bi 0.671 0.497 0.500
Bi 0.829 0.997 0.500
Bi 0.843 0.493 0.000
Bi 0.993 0.343 0.500
Bi 0.997 0.171 0.000
C 0.002 0.865 0.500
C 0.135 0.002 0.000
C 0.365 0.502 0.000
C 0.498 0.365 0.500
C 0.502 0.635 0.500
C 0.635 0.498 0.000
C 0.865 0.998 0.000
C 0.998 0.135 0.500

***

## BiIr3C9O9 (PBE)

Data for a relaxed structure of BiIr3C9O9.

Calculated values
spin magnetization: 0.0 μB per formula unit
energy of formation: -0.890 eV/atom
final energy: -7.7908 eV/atom

Cell lengths 8.186, 9.134, 12.143 Å; angles 85.04, 78.90, 68.86 degrees
Positions (direct):
Bi 0.055 0.190 0.411
Bi 0.945 0.810 0.589
Ir 0.037 0.217 0.183
Ir 0.148 0.426 0.284
Ir 0.370 0.107 0.258
Ir 0.630 0.893 0.742
Ir 0.852 0.574 0.716
Ir 0.963 0.783 0.817
C 0.018 0.018 0.168
C 0.077 0.412 0.679
C 0.131 0.268 0.033
C 0.209 0.656 0.790
C 0.246 0.501 0.142
C 0.273 0.471 0.386
C 0.392 0.892 0.259
C 0.476 0.896 0.642
C 0.497 0.863 0.886
C 0.503 0.137 0.114
C 0.524 0.104 0.358
C 0.608 0.108 0.741
C 0.727 0.529 0.614
C 0.754 0.499 0.858
C 0.791 0.344 0.210
C 0.869 0.732 0.967
C 0.923 0.588 0.321
C 0.982 0.982 0.832
O 0.005 0.897 0.159
O 0.188 0.296 0.941
O 0.212 0.309 0.656
O 0.304 0.551 0.059
O 0.346 0.501 0.449
O 0.359 0.581 0.773
O 0.376 0.899 0.585
O 0.402 0.762 0.258
O 0.411 0.852 0.972
O 0.589 0.148 0.028
O 0.598 0.238 0.742
O 0.624 0.101 0.415
O 0.641 0.419 0.227
O 0.654 0.499 0.551
O 0.696 0.449 0.941
O 0.788 0.691 0.344
O 0.812 0.704 0.059
O 0.995 0.103 0.841

***

## Li4Bi2C4SO16 (PBE)

Data for a relaxed structure of Li4Bi2C4SO16.

Calculated values
spin magnetization: 0.0 μB per formula unit
energy of formation: -1.944 eV/atom
final energy: -6.5608 eV/atom

Cell lengths 9.644, 9.803, 9.861 Å; angles 116.70, 93.90, 116.81 degrees
Positions (direct):
Li 0.000 0.000 0.000
Li 0.007 0.368 0.990
Li 0.019 0.385 0.387
Li 0.282 0.916 0.788
Li 0.296 0.898 0.145
Li 0.417 0.384 0.010
Li 0.442 0.451 0.433
Li 0.643 0.886 0.149
Bi 0.362 0.147 0.580
Bi 0.845 0.145 0.580
Bi 0.848 0.648 0.086
Bi 0.852 0.659 0.575
C 0.020 0.588 0.813
C 0.058 0.085 0.332
C 0.087 0.096 0.772
C 0.090 0.710 0.376
C 0.619 0.587 0.787
C 0.625 0.220 0.400
C 0.633 0.228 0.826
C 0.656 0.697 0.331
S 0.212 0.378 0.194
S 0.464 0.891 0.957
O 0.010 0.449 0.807
O 0.014 0.596 0.684
O 0.025 0.259 0.127
O 0.035 0.719 0.948
O 0.043 0.207 0.446
O 0.091 0.979 0.798
O 0.098 0.712 0.247
O 0.190 0.080 0.355
O 0.190 0.855 0.519
O 0.207 0.202 0.746
O 0.261 0.490 0.374
O 0.265 0.486 0.118
O 0.284 0.264 0.152
O 0.394 0.009 0.018
O 0.400 0.791 0.779
O 0.404 0.770 0.023
O 0.487 0.080 0.367
O 0.491 0.472 0.659
O 0.498 0.215 0.848
O 0.615 0.587 0.919
O 0.623 0.128 0.677
O 0.630 0.367 0.432
O 0.638 0.558 0.202
O 0.641 0.692 0.458
O 0.647 0.996 0.023
O 0.698 0.844 0.331
O 0.760 0.219 0.407
O 0.760 0.704 0.790
O 0.775 0.345 0.942
O 0.943 0.966 0.190
O 0.958 0.109 0.775
O 0.976 0.567 0.368

***

## Li4Bi2C4SO16 (PBE)

Data for a relaxed structure of Li4Bi2C4SO16.

Calculated values
spin magnetization: 0.0 μB per formula unit
energy of formation: -1.945 eV/atom
final energy: -6.5616 eV/atom

Cell lengths 10.296, 10.054, 9.593 Å; angles 63.16, 60.61, 56.24 degrees
Positions (direct):
Li 0.065 0.685 0.065
Li 0.073 0.677 0.677
Li 0.315 0.935 0.315
Li 0.323 0.927 0.927
Li 0.677 0.073 0.073
Li 0.685 0.065 0.685
Li 0.927 0.323 0.323
Li 0.935 0.315 0.935
Bi 0.000 0.500 0.500
Bi 0.500 0.000 0.500
Bi 0.500 0.500 0.000
Bi 0.500 0.500 0.500
C 0.250 0.681 0.292
C 0.277 0.292 0.681
C 0.292 0.277 0.250
C 0.319 0.750 0.723
C 0.681 0.250 0.277
C 0.708 0.723 0.750
C 0.723 0.708 0.319
C 0.750 0.319 0.708
S 0.125 0.125 0.125
S 0.875 0.875 0.875
O 0.048 0.310 0.075
O 0.068 0.075 0.310
O 0.075 0.068 0.048
O 0.131 0.668 0.428
O 0.149 0.290 0.688
O 0.155 0.413 0.250
O 0.250 0.682 0.155
O 0.272 0.428 0.668
O 0.290 0.149 0.374
O 0.310 0.048 0.068
O 0.312 0.626 0.851
O 0.318 0.750 0.587
O 0.332 0.869 0.728
O 0.374 0.688 0.290
O 0.413 0.155 0.682
O 0.428 0.272 0.131
O 0.572 0.728 0.869
O 0.587 0.845 0.318
O 0.626 0.312 0.710
O 0.668 0.131 0.272
O 0.682 0.250 0.413
O 0.688 0.374 0.149
O 0.690 0.952 0.932
O 0.710 0.851 0.626
O 0.728 0.572 0.332
O 0.750 0.318 0.845
O 0.845 0.587 0.750
O 0.851 0.710 0.312
O 0.869 0.332 0.572
O 0.925 0.932 0.952
O 0.932 0.925 0.690
O 0.952 0.690 0.925

***

## Mg6BiC (PBE)

Data for a relaxed structure of Mg6BiC.

Calculated values
spin magnetization: 0.0 μB per formula unit
energy of formation: 0.555 eV/atom
ΔE to the lowest computed polymorph: 0.193 eV per atom
final energy: -2.2855 eV/atom

Cell lengths 4.908, 6.259, 11.027 Å; angles 90.00, 90.00, 90.00 degrees
Positions (direct):
Bi 0.500 0.000 0.667
Bi 0.500 0.500 0.167
Mg 0.000 0.271 0.586
Mg 0.000 0.229 0.086
Mg 0.500 0.749 0.916
Mg 0.000 0.729 0.586
Mg 0.500 0.251 0.916
Mg 0.000 0.771 0.086
Mg 0.000 0.500 0.339
Mg 0.000 0.500 0.824
Mg 0.500 0.751 0.416
Mg 0.000 0.000 0.839
Mg 0.000 0.000 0.324
Mg 0.500 0.249 0.416
C 0.500 0.500 0.668
C 0.500 0.000 0.168

***

## Mg14BiC (PBE)

Data for a relaxed structure of Mg14BiC.

Calculated values
spin magnetization: 0.0 μB per formula unit
energy of formation: 0.188 eV/atom
ΔE to the lowest computed polymorph: 0.000 eV per atom
final energy: -2.0323 eV/atom

Cell lengths 10.060, 6.313, 6.313 Å; angles 70.63, 90.00, 90.00 degrees
Positions (direct):
Mg 0.000 0.000 0.000
Mg 0.000 0.494 0.494
Mg 0.000 0.521 0.969
Mg 0.000 0.969 0.521
Mg 0.232 0.294 0.294
Mg 0.249 0.283 0.804
Mg 0.249 0.804 0.283
Mg 0.280 0.793 0.793
Mg 0.500 0.058 0.474
Mg 0.500 0.474 0.058
Mg 0.720 0.793 0.793
Mg 0.751 0.283 0.804
Mg 0.751 0.804 0.283
Mg 0.768 0.294 0.294
Bi 0.500 0.534 0.534
C 0.500 0.776 0.776

***

## Mg14BiC (PBE)

Data for a relaxed structure of Mg14BiC.

Calculated values
spin magnetization: 0.0 μB per formula unit
energy of formation: 0.271 eV/atom
ΔE to the lowest computed polymorph: 0.084 eV per atom
final energy: -1.9487 eV/atom

Cell lengths 6.323, 6.323, 10.068 Å; angles 90.00, 90.00, 120.00 degrees
Positions (direct):
Mg 0.000 0.000 0.249
Mg 0.000 0.000 0.751
Mg 0.009 0.504 0.275
Mg 0.009 0.504 0.725
Mg 0.321 0.161 0.500
Mg 0.337 0.169 0.000
Mg 0.496 0.504 0.275
Mg 0.496 0.504 0.725
Mg 0.496 0.991 0.275
Mg 0.496 0.991 0.725
Mg 0.831 0.169 0.000
Mg 0.831 0.663 0.000
Mg 0.839 0.161 0.500
Mg 0.839 0.679 0.500
Bi 0.333 0.667 0.000
C 0.333 0.667 0.500

***

## Mg14BiC (PBE)

Data for a relaxed structure of Mg14BiC.

Calculated values
spin magnetization: 0.0 μB per formula unit
energy of formation: 0.204 eV/atom
ΔE to the lowest computed polymorph: 0.016 eV per atom
final energy: -2.0161 eV/atom

Cell lengths 9.678, 6.529, 6.529 Å; angles 63.36, 90.00, 90.00 degrees
Positions (direct):
Mg 0.000 0.000 0.000
Mg 0.000 0.023 0.484
Mg 0.000 0.484 0.023
Mg 0.000 0.497 0.497
Mg 0.236 0.679 0.679
Mg 0.266 0.155 0.701
Mg 0.266 0.701 0.155
Mg 0.274 0.170 0.170
Mg 0.500 0.506 0.961
Mg 0.500 0.961 0.506
Mg 0.726 0.170 0.170
Mg 0.734 0.155 0.701
Mg 0.734 0.701 0.155
Mg 0.764 0.679 0.679
Bi 0.500 0.483 0.483
C 0.500 0.140 0.140